KMgFeP2O8: optimized geometry, PBE+U.

The structure in CIF format:
```
data_KMgFeP2O8
_symmetry_space_group_name_H-M 'P 1 21/c 1'
_symmetry_Int_Tables_number 14
_cell_length_a 5.241
_cell_length_b 14.672
_cell_length_c 9.325
_cell_angle_alpha 90.00
_cell_angle_beta 105.03
_cell_angle_gamma 90.00
loop_
_symmetry_equiv_pos_as_xyz
'x,y,z'
'-x,-y,-z'
'-x,y+1/2,-z+1/2'
'x,-y+1/2,z+1/2'
loop_
_atom_site_label
_atom_site_type_symbol
_atom_site_fract_x
_atom_site_fract_y
_atom_site_fract_z
K1 K 0.176 0.177 0.320
Mg1 Mg 0.241 0.049 0.967
Fe1 Fe 0.227 0.628 0.883
P1 P 0.256 0.673 0.537
P2 P 0.310 0.007 0.681
O1 O 0.061 0.048 0.724
O2 O 0.088 0.587 0.471
O3 O 0.115 0.744 0.945
O4 O 0.229 0.581 0.089
O5 O 0.234 0.689 0.698
O6 O 0.418 0.078 0.589
O7 O 0.454 0.166 0.969
O8 O 0.499 0.013 0.167
```

## Properties
The calculation puts the total magnetic moment at 20.00 μB/cell. As for the energy relative to the elements: -2.669 eV/atom.

Li9Mn2Co5O16: optimized geometry, PBE+U.

The structure in CIF format:
```
data_Li9Mn2Co5O16
_symmetry_space_group_name_H-M 'C 1 m 1'
_symmetry_Int_Tables_number 8
_cell_length_a 15.256
_cell_length_b 2.881
_cell_length_c 13.121
_cell_angle_alpha 90.00
_cell_angle_beta 93.31
_cell_angle_gamma 90.00
loop_
_symmetry_equiv_pos_as_xyz
'x,y,z'
'x,-y,z'
'x+1/2,y+1/2,z'
'x+1/2,-y+1/2,z'
loop_
_atom_site_label
_atom_site_type_symbol
_atom_site_fract_x
_atom_site_fract_y
_atom_site_fract_z
Li1 Li 0.000 0.000 0.000
Li2 Li 0.001 0.500 0.480
Li3 Li 0.066 0.500 0.176
Li4 Li 0.125 0.500 0.867
Li5 Li 0.128 0.000 0.353
Li6 Li 0.246 0.500 0.237
Li7 Li 0.253 0.000 0.735
Li8 Li 0.376 0.500 0.610
Li9 Li 0.378 0.000 0.116
Mn1 Mn 0.064 0.000 0.674
Mn2 Mn 0.185 0.000 0.059
Co1 Co 0.190 0.500 0.542
Co2 Co 0.313 0.500 0.929
Co3 Co 0.319 0.000 0.424
Co4 Co 0.436 0.000 0.805
Co5 Co 0.446 0.500 0.284
O1 O 0.021 0.000 0.830
O2 O 0.024 0.500 0.327
O3 O 0.102 0.000 0.519
O4 O 0.105 0.500 0.020
O5 O 0.151 0.500 0.703
O6 O 0.160 0.000 0.193
O7 O 0.226 0.500 0.396
O8 O 0.227 0.000 0.908
O9 O 0.271 0.500 0.081
O10 O 0.277 0.000 0.577
O11 O 0.353 0.500 0.775
O12 O 0.357 0.000 0.277
O13 O 0.396 0.000 0.956
O14 O 0.402 0.500 0.456
O15 O 0.466 0.500 0.149
O16 O 0.479 0.000 0.647
```

## Properties
The calculation puts the total magnetic moment at 24.00 μB/cell. As for the energy relative to the elements: -1.789 eV/atom.

Li6V3P8O29: optimized geometry, PBE+U.

The structure in CIF format:
```
data_Li6V3P8O29
_symmetry_space_group_name_H-M 'P 1'
_symmetry_Int_Tables_number 1
_cell_length_a 9.790
_cell_length_b 9.816
_cell_length_c 13.973
_cell_angle_alpha 89.83
_cell_angle_beta 89.86
_cell_angle_gamma 60.66
loop_
_symmetry_equiv_pos_as_xyz
'x,y,z'
loop_
_atom_site_label
_atom_site_type_symbol
_atom_site_fract_x
_atom_site_fract_y
_atom_site_fract_z
Li1 Li 0.000 0.000 0.000
Li2 Li 0.002 0.432 0.551
Li3 Li 0.341 0.190 0.879
Li4 Li 0.431 0.438 0.002
Li5 Li 0.442 0.012 0.497
Li6 Li 0.568 0.423 0.498
Li7 Li 0.661 0.100 0.945
Li8 Li 0.750 0.786 0.373
Li9 Li 0.886 0.190 0.378
Li10 Li 0.899 0.774 0.879
Li11 Li 0.983 0.876 0.498
Li12 Li 0.994 0.435 0.053
V1 V 0.096 0.100 0.190
V2 V 0.101 0.664 0.688
V3 V 0.233 0.099 0.693
V4 V 0.233 0.533 0.194
V5 V 0.656 0.672 0.184
V6 V 0.665 0.532 0.695
P1 P 0.000 0.433 0.812
P2 P 0.324 0.768 0.066
P3 P 0.335 0.767 0.569
P4 P 0.346 0.329 0.599
P5 P 0.350 0.193 0.095
P6 P 0.432 0.416 0.783
P7 P 0.433 0.014 0.279
P8 P 0.579 0.418 0.284
P9 P 0.583 0.874 0.781
P10 P 0.752 0.322 0.099
P11 P 0.753 0.778 0.594
P12 P 0.893 0.781 0.098
P13 P 0.895 0.193 0.599
P14 P 0.977 0.014 0.783
P15 P 0.986 0.867 0.281
P16 P 0.991 0.439 0.311
O1 O 0.002 0.439 0.919
O2 O 0.003 0.846 0.776
O3 O 0.038 0.216 0.616
O4 O 0.041 0.620 0.107
O5 O 0.133 0.017 0.768
O6 O 0.138 0.441 0.265
O7 O 0.147 0.725 0.265
O8 O 0.158 0.288 0.776
O9 O 0.171 0.915 0.105
O10 O 0.179 0.471 0.613
O11 O 0.182 0.765 0.610
O12 O 0.185 0.208 0.108
O13 O 0.280 0.006 0.257
O14 O 0.280 0.572 0.770
O15 O 0.321 0.757 0.960
O16 O 0.326 0.181 0.598
O17 O 0.328 0.616 0.111
O18 O 0.329 0.772 0.463
O19 O 0.332 0.358 0.100
O20 O 0.335 0.915 0.612
O21 O 0.414 0.017 0.780
O22 O 0.415 0.440 0.280
O23 O 0.422 0.093 0.371
O24 O 0.432 0.340 0.515
O25 O 0.436 0.112 0.006
O26 O 0.437 0.331 0.874
O27 O 0.447 0.305 0.695
O28 O 0.453 0.104 0.188
O29 O 0.468 0.772 0.110
O30 O 0.480 0.617 0.610
O31 O 0.574 0.443 0.774
O32 O 0.575 0.574 0.260
O33 O 0.578 0.849 0.274
O34 O 0.584 0.719 0.773
O35 O 0.658 0.308 0.019
O36 O 0.659 0.892 0.681
O37 O 0.664 0.850 0.503
O38 O 0.667 0.347 0.375
O39 O 0.675 0.891 0.861
O40 O 0.680 0.301 0.198
O41 O 0.746 0.355 0.598
O42 O 0.749 0.756 0.101
O43 O 0.766 0.471 0.105
O44 O 0.773 0.614 0.615
O45 O 0.845 0.589 0.272
O46 O 0.859 0.425 0.768
O47 O 0.873 0.104 0.691
O48 O 0.875 0.885 0.191
O49 O 0.889 0.874 0.010
O50 O 0.895 0.088 0.875
O51 O 0.907 0.855 0.371
O52 O 0.910 0.100 0.510
O53 O 0.918 0.763 0.594
O54 O 0.922 0.180 0.099
O55 O 0.991 0.288 0.274
O56 O 0.994 0.021 0.280
O57 O 0.994 0.439 0.418
O58 O 0.995 0.587 0.771
```

## Properties
The calculation puts the total magnetic moment at 6.00 μB/cell. As for the energy relative to the elements: -2.658 eV/atom.

Cr2ReO6: optimized geometry, PBE+U.

The structure in CIF format:
```
data_Cr2ReO6
_symmetry_space_group_name_H-M 'P 42/m n m'
_symmetry_Int_Tables_number 136
_symmetry_space_group_name_Hall '-P 4n 2n'
_cell_length_a 4.610
_cell_length_b 4.610
_cell_length_c 9.160
_cell_angle_alpha 90.00
_cell_angle_beta 90.00
_cell_angle_gamma 90.00
loop_
_atom_site_label
_atom_site_type_symbol
_atom_site_fract_x
_atom_site_fract_y
_atom_site_fract_z
Cr1 Cr 0.000 0.000 0.166
Re1 Re 0.000 0.000 0.500
O1 O 0.192 0.192 0.338
O2 O 0.205 0.205 0.000
```

## Properties
The calculation puts the total magnetic moment at 14.00 μB/cell. As for the energy relative to the elements: -2.217 eV/atom.

CaFeP2O7: optimized geometry, PBE+U.

The structure in CIF format:
```
data_CaFeP2O7
_symmetry_space_group_name_H-M 'P 1 21/c 1'
_symmetry_Int_Tables_number 14
_cell_length_a 7.455
_cell_length_b 8.872
_cell_length_c 9.264
_cell_angle_alpha 90.00
_cell_angle_beta 117.33
_cell_angle_gamma 90.00
loop_
_symmetry_equiv_pos_as_xyz
'x,y,z'
'-x,-y,-z'
'-x,y+1/2,-z+1/2'
'x,-y+1/2,z+1/2'
loop_
_atom_site_label
_atom_site_type_symbol
_atom_site_fract_x
_atom_site_fract_y
_atom_site_fract_z
Ca1 Ca 0.229 0.050 0.372
Fe1 Fe 0.271 0.073 0.886
P1 P 0.029 0.744 0.964
P2 P 0.451 0.726 0.262
O1 O 0.032 0.108 0.653
O2 O 0.060 0.611 0.390
O3 O 0.110 0.240 0.956
O4 O 0.243 0.680 0.103
O5 O 0.396 0.235 0.305
O6 O 0.427 0.629 0.839
O7 O 0.488 0.588 0.375
```

## Properties
The calculation puts the total magnetic moment at 16.00 μB/cell. As for the energy relative to the elements: -2.780 eV/atom.

TiMnZnP3O12: optimized geometry, PBE+U.

The structure in CIF format:
```
data_TiMnZnP3O12
_symmetry_space_group_name_H-M 'R 3 c'
_symmetry_Int_Tables_number 161
_symmetry_space_group_name_Hall 'R 3 -2"c'
_cell_length_a 8.6394
_cell_length_b 8.6394
_cell_length_c 20.8534
_cell_angle_alpha 90.00
_cell_angle_beta 90.00
_cell_angle_gamma 120.00
loop_
_atom_site_label
_atom_site_type_symbol
_atom_site_fract_x
_atom_site_fract_y
_atom_site_fract_z
Ti1 Ti 0.0000 0.0000 0.0000
Mn1 Mn 0.0000 0.0000 0.2890
Zn1 Zn 0.0000 0.0000 0.1469
P1 P 0.9996 0.2947 0.3940
O1 O 0.0039 0.1900 0.4542
O2 O 0.0218 0.1833 0.0688
O3 O 0.1348 0.4659 0.9997
O4 O 0.1656 0.4845 0.3885
```

## Properties
The calculation puts the total magnetic moment at 24.00 μB/cell. As for the energy relative to the elements: -2.640 eV/atom.

BaLa8CoSi6O26: optimized geometry, PBE+U.

The structure in CIF format:
```
data_BaLa8CoSi6O26
_symmetry_space_group_name_H-M 'P 3'
_symmetry_Int_Tables_number 143
_cell_length_a 9.8130
_cell_length_b 9.8130
_cell_length_c 7.2380
_cell_angle_alpha 90.00
_cell_angle_beta 90.00
_cell_angle_gamma 120.00
loop_
_symmetry_equiv_pos_as_xyz
'x,y,z'
'-y,x-y,z'
'-x+y,-x,z'
loop_
_atom_site_label
_atom_site_type_symbol
_atom_site_fract_x
_atom_site_fract_y
_atom_site_fract_z
Ba1 Ba 0.0000 0.0000 0.0000
La1 La 0.0000 0.0000 0.4988
La2 La 0.3333 0.6667 0.9893
La3 La 0.4248 0.1003 0.7469
La4 La 0.4348 0.3429 0.2511
Co1 Co 0.3333 0.6667 0.4708
Si1 Si 0.0447 0.3142 0.2595
Si2 Si 0.0694 0.7003 0.7376
O1 O 0.0209 0.5943 0.9316
O2 O 0.0756 0.8553 0.2651
O3 O 0.1614 0.5072 0.2657
O4 O 0.1848 0.1774 0.7312
O5 O 0.2042 0.4673 0.7274
O6 O 0.3243 0.0796 0.4348
O7 O 0.3333 0.0719 0.0754
O8 O 0.4299 0.4176 0.5701
O9 O 0.6667 0.3333 0.2545
O10 O 0.6667 0.3333 0.7580
```

## Properties
The calculation puts the total magnetic moment at 3.00 μB/cell. As for the energy relative to the elements: -3.569 eV/atom.

La12Ni6O25: optimized geometry, PBE+U.

The structure in CIF format:
```
data_La12Ni6O25
_symmetry_space_group_name_H-M 'P 1'
_symmetry_Int_Tables_number 1
_cell_length_a 5.489
_cell_length_b 5.592
_cell_length_c 19.236
_cell_angle_alpha 81.68
_cell_angle_beta 89.98
_cell_angle_gamma 89.98
loop_
_symmetry_equiv_pos_as_xyz
'x,y,z'
loop_
_atom_site_label
_atom_site_type_symbol
_atom_site_fract_x
_atom_site_fract_y
_atom_site_fract_z
La1 La 0.000 0.000 0.000
La2 La 0.000 0.327 0.329
La3 La 0.013 0.570 0.851
La4 La 0.016 0.209 0.518
La5 La 0.493 0.044 0.851
La6 La 0.494 0.740 0.518
La7 La 0.496 0.468 0.000
La8 La 0.497 0.821 0.328
La9 La 0.498 0.397 0.190
La10 La 0.515 0.163 0.667
La11 La 0.996 0.636 0.667
La12 La 0.999 0.889 0.190
Ni1 Ni 0.004 0.102 0.759
Ni2 Ni 0.502 0.934 0.093
Ni3 Ni 0.505 0.603 0.759
Ni4 Ni 0.508 0.278 0.425
Ni5 Ni 0.993 0.444 0.093
Ni6 Ni 0.998 0.767 0.425
O1 O 0.030 0.993 0.876
O2 O 0.037 0.759 0.548
O3 O 0.247 0.188 0.094
O4 O 0.248 0.110 0.259
O5 O 0.248 0.695 0.083
O6 O 0.251 0.027 0.421
O7 O 0.254 0.351 0.762
O8 O 0.255 0.860 0.745
O9 O 0.256 0.522 0.433
O10 O 0.472 0.161 0.548
O11 O 0.476 0.596 0.876
O12 O 0.507 0.053 0.970
O13 O 0.538 0.612 0.643
O14 O 0.545 0.819 0.202
O15 O 0.555 0.392 0.317
O16 O 0.747 0.700 0.070
O17 O 0.748 0.188 0.096
O18 O 0.751 0.019 0.427
O19 O 0.754 0.345 0.773
O20 O 0.755 0.854 0.755
O21 O 0.756 0.507 0.450
O22 O 0.948 0.455 0.201
O23 O 0.950 0.763 0.317
O24 O 0.973 0.211 0.643
O25 O 0.997 0.445 0.970
```

## Properties
The calculation puts the total magnetic moment at 10.00 μB/cell. As for the energy relative to the elements: -3.005 eV/atom.